First-principles (PBE with a Hubbard U) data for CrC5SO7 after structural relaxation, as listed in the Materials Project.

## Properties
* E_tot: -7.236 eV/atom
* M_tot: 0.00 μB/cell
* E_form: -0.967 eV/atom

```
data_CrC5SO7
_chemical_formula_sum 'Cr8 C40 S8 O56'
_symmetry_space_group_name_H-M 'P n a 21'
_symmetry_Int_Tables_number 33
_symmetry_space_group_name_Hall 'P 2c -2n'
_cell_length_a 12.647
_cell_length_b 6.690
_cell_length_c 22.120
_cell_angle_alpha 90.00
_cell_angle_beta 90.00
_cell_angle_gamma 90.00
loop_
_atom_site_label
_atom_site_fract_x
_atom_site_fract_y
_atom_site_fract_z
Cr1 0.007 0.003 0.000
Cr2 0.241 0.489 0.756
C1 0.043 0.149 0.432
C2 0.051 0.216 0.948
C3 0.060 0.153 0.069
C4 0.105 0.362 0.765
C5 0.123 0.119 0.249
C6 0.130 0.868 0.507
C7 0.142 0.874 0.990
C8 0.187 0.637 0.686
C9 0.196 0.702 0.807
C10 0.209 0.839 0.324
S1 0.045 0.241 0.564
S2 0.206 0.740 0.195
O1 0.025 0.282 0.772
O2 0.041 0.196 0.246
O3 0.048 0.448 0.544
O4 0.070 0.239 0.390
O5 0.077 0.199 0.626
O6 0.077 0.348 0.917
O7 0.092 0.242 0.110
O8 0.152 0.724 0.646
O9 0.162 0.777 0.135
O10 0.170 0.831 0.839
O11 0.177 0.747 0.364
O12 0.210 0.534 0.215
O13 0.213 0.795 0.509
O14 0.223 0.796 0.984
```